[1]
Compound: Sr3Ta4TiO15
Source: Materials Project
Functional: PBE-GGA
Structure: optimized geometry

abc: 3.971 12.582 12.549
angles: 90.00 90.01 90.00
Space group Pc (No. 7)
Unique sites:
Sr1 0.000 0.099 0.000 [2 per cell]
Sr2 0.001 0.370 0.403 [2 per cell]
Sr3 0.999 0.247 0.687 [2 per cell]
Ta1 0.490 0.037 0.768 [2 per cell]
Ta2 0.492 0.461 0.616 [2 per cell]
Ta3 0.496 0.330 0.902 [2 per cell]
Ta4 0.505 0.252 0.196 [2 per cell]
Ti1 0.527 0.163 0.483 [2 per cell]
O1 0.481 0.408 0.200 [2 per cell]
O2 0.482 0.247 0.035 [2 per cell]
O3 0.482 0.319 0.544 [2 per cell]
O4 0.483 0.091 0.182 [2 per cell]
O5 0.483 0.182 0.838 [2 per cell]
O6 0.485 0.247 0.351 [2 per cell]
O7 0.487 0.378 0.750 [2 per cell]
O8 0.488 0.120 0.634 [2 per cell]
O9 0.488 0.473 0.966 [2 per cell]
O10 0.491 0.022 0.421 [2 per cell]
O11 0.979 0.174 0.490 [2 per cell]
O12 0.986 0.453 0.605 [2 per cell]
O13 0.987 0.047 0.779 [2 per cell]
O14 0.987 0.325 0.894 [2 per cell]
O15 0.988 0.250 0.194 [2 per cell]

Computed properties:
magnetic moment = 0.0 μB/f.u.
electronic total energy = -408.194 eV per cell
calculated formation energy = -3.4690 eV per atom

***

[2]
Compound: Sr3Ta4Ti4O21
Source: Materials Project
Functional: PBE-GGA
Structure: optimized geometry

abc: 15.740 9.116 11.584
angles: 90.00 90.05 90.00
Space group C2/c (No. 15)
Unique sites:
Sr1 0.000 0.092 0.250 [4 per cell]
Sr2 0.200 0.296 0.749 [8 per cell]
Ta1 0.121 0.377 0.407 [8 per cell]
Ta2 0.166 0.003 0.000 [8 per cell]
Ti1 0.000 0.248 0.597 [8 per cell]
Ti2 0.126 0.373 0.093 [8 per cell]
O1 0.000 0.299 0.750 [4 per cell]
O2 0.001 0.288 0.426 [8 per cell]
O3 0.083 0.097 0.604 [8 per cell]
O4 0.084 0.098 0.894 [8 per cell]
O5 0.097 0.402 0.247 [8 per cell]
O6 0.106 0.397 0.925 [8 per cell]
O7 0.107 0.393 0.578 [8 per cell]
O8 0.159 0.174 0.106 [8 per cell]
O9 0.161 0.173 0.394 [8 per cell]
O10 0.242 0.422 0.103 [8 per cell]
O11 0.244 0.422 0.395 [8 per cell]

Computed properties:
magnetic moment = 0.0 μB/f.u.
electronic total energy = -1138.856 eV per cell
calculated formation energy = -3.4735 eV per atom

***

[3]
Compound: Sr2TmTaO6
Source: Materials Project
Functional: PBE-GGA
Structure: optimized geometry

abc: 5.827 5.891 10.099
angles: 90.00 125.07 90.00
Space group P2_1/c (No. 14)
Unique sites:
Sr1 0.242 0.033 0.250 [4 per cell]
Tm1 0.500 0.000 0.000 [2 per cell]
Ta1 0.000 0.000 0.500 [2 per cell]
O1 0.158 0.227 0.958 [4 per cell]
O2 0.233 0.703 0.961 [4 per cell]
O3 0.314 0.021 0.737 [4 per cell]

Computed properties:
magnetic moment = 0.0 μB/f.u.
electronic total energy = -163.249 eV per cell
calculated formation energy = -3.6346 eV per atom

***

[4]
Compound: Sr3Ta2ZnO9
Source: Materials Project
Functional: PBE-GGA
Structure: optimized geometry

abc: 5.7253 5.7253 7.0741
angles: 90.00 90.00 120.00
Space group P-3m1 (No. 164)
Unique sites:
Sr1 0.0000 0.0000 0.0000 [1 per cell]
Sr2 0.3333 0.6667 0.6622 [2 per cell]
Ta1 0.3333 0.6667 0.1765 [2 per cell]
Zn1 0.0000 0.0000 0.5000 [1 per cell]
O1 0.0000 0.5000 0.0000 [3 per cell]
O2 0.1696 0.3393 0.3232 [6 per cell]

Computed properties:
magnetic moment = 0.0 μB/f.u.
electronic total energy = -116.800 eV per cell
calculated formation energy = -3.2272 eV per atom

***

Which formula does entry 3 have?
Sr2TmTaO6